Record 1
Density functional theory data (PBE) for crystalline Ba3Ga3P5 at its relaxed geometry.

Cell: 14.7661 14.7661 29.1602 Å, 90.00 90.00 120.00°
Space group R-3c (No. 167, hexagonal axes)
Inequivalent atoms, fractional coordinates:
Ba (0.0000, 0.0000, 0.1012) [12 per cell]
Ba (0.0000, 0.0000, 0.2500) [6 per cell]
Ba (0.0230, 0.4687, 0.3280) [36 per cell]
Ga (0.0000, 0.2706, 0.2500) [18 per cell]
Ga (0.0345, 0.4741, 0.0491) [36 per cell]
P (0.0000, 0.3745, 0.7500) [18 per cell]
P (0.0412, 0.2252, 0.9304) [36 per cell]
P (0.0659, 0.2015, 0.3113) [36 per cell]

Calculated values
Calculated volume ... 27.81 Å³/atom
Electronic total energy ... -4.580 eV/atom

---

Record 2
Density functional theory data (PBE) for crystalline Tl3CoCl5 at its relaxed geometry.

Cell: 8.590 8.590 14.572 Å, 90.00 90.00 90.00°
Space group I4/mcm (No. 140)
Inequivalent atoms, fractional coordinates:
Tl (0.000, 0.000, 0.250) [4 per cell]
Tl (0.164, 0.336, 0.000) [8 per cell]
Co (0.000, 0.500, 0.250) [4 per cell]
Cl (0.000, 0.000, 0.000) [4 per cell]
Cl (0.147, 0.353, 0.344) [16 per cell]

Calculated values
Calculated volume ... 29.87 Å³/atom
Electronic total energy ... -3.495 eV/atom

---

Record 3
Density functional theory data (PBE) for crystalline ZnBi2P2O9 at its relaxed geometry.

Cell: 15.769 7.119 7.475 Å, 90.00 90.00 90.00°
Space group Pnma (No. 62)
Inequivalent atoms, fractional coordinates:
Zn (0.243, 0.250, 0.039) [4 per cell]
Bi (0.000, 0.000, 0.000) [4 per cell]
Bi (0.120, 0.250, 0.602) [4 per cell]
P (0.089, 0.750, 0.616) [4 per cell]
P (0.189, 0.750, 0.115) [4 per cell]
O (0.031, 0.750, 0.454) [4 per cell]
O (0.033, 0.750, 0.791) [4 per cell]
O (0.076, 0.250, 0.882) [4 per cell]
O (0.136, 0.566, 0.125) [8 per cell]
O (0.152, 0.580, 0.619) [8 per cell]
O (0.245, 0.250, 0.779) [4 per cell]
O (0.248, 0.750, 0.951) [4 per cell]

Calculated values
Calculated volume ... 14.98 Å³/atom
Electronic total energy ... -6.324 eV/atom

---

Record 4
Density functional theory data (PBE) for crystalline Ag7AsSe6 at its relaxed geometry.

Cell: 11.051 11.051 11.051 Å, 90.00 90.00 90.00°
Space group P2_13 (No. 198)
Inequivalent atoms, fractional coordinates:
Ag (0.010, 0.224, 0.518) [12 per cell]
Ag (0.073, 0.604, 0.227) [12 per cell]
Ag (0.151, 0.849, 0.349) [4 per cell]
As (0.249, 0.249, 0.249) [4 per cell]
Se (0.016, 0.984, 0.484) [4 per cell]
Se (0.121, 0.379, 0.362) [12 per cell]
Se (0.124, 0.124, 0.124) [4 per cell]
Se (0.216, 0.284, 0.716) [4 per cell]

Calculated values
Calculated volume ... 24.10 Å³/atom
Electronic total energy ... -3.324 eV/atom

---

Record 5
Density functional theory data (PBE) for crystalline LaAgO3 at its relaxed geometry.

Cell: 5.9308 5.9308 13.7871 Å, 90.00 90.00 120.00°
Space group R3c (No. 161, hexagonal axes)
Inequivalent atoms, fractional coordinates:
La (0.0000, 0.0000, 0.0000) [6 per cell]
Ag (0.0000, 0.0000, 0.2398) [6 per cell]
O (0.0701, 0.3443, 0.3174) [18 per cell]

Calculated values
Calculated volume ... 14.00 Å³/atom
Electronic total energy ... -6.201 eV/atom

---

Record 6
Density functional theory data (PBE) for crystalline SmPd2Pb at its relaxed geometry.

Cell: 6.975 6.975 6.975 Å, 90.00 90.00 90.00°
Space group Fm-3m (No. 225)
Inequivalent atoms, fractional coordinates:
Sm (0.000, 0.000, 0.000) [4 per cell]
Pd (0.250, 0.250, 0.250) [8 per cell]
Pb (0.000, 0.000, 0.500) [4 per cell]

Calculated values
Calculated volume ... 21.21 Å³/atom
Electronic total energy ... -5.365 eV/atom

---

Record 7
Density functional theory data (PBE) for crystalline Re3As7 at its relaxed geometry.

Cell: 8.864 8.864 8.864 Å, 90.00 90.00 90.00°
Space group Im-3m (No. 229)
Inequivalent atoms, fractional coordinates:
Re (0.000, 0.000, 0.340) [12 per cell]
As (0.000, 0.250, 0.500) [12 per cell]
As (0.166, 0.166, 0.166) [16 per cell]

Calculated values
Calculated volume ... 17.41 Å³/atom
Electronic total energy ... -7.072 eV/atom

---

Record 8
Density functional theory data (PBE) for crystalline Nb16Bi47 at its relaxed geometry.

Cell: 11.285 11.285 29.548 Å, 90.00 90.00 90.00°
Space group I-4m2 (No. 119)
Inequivalent atoms, fractional coordinates:
Nb (0.000, 0.000, 0.075) [4 per cell]
Nb (0.000, 0.000, 0.348) [4 per cell]
Nb (0.000, 0.342, 0.368) [8 per cell]
Nb (0.000, 0.350, 0.768) [8 per cell]
Nb (0.000, 0.352, 0.093) [8 per cell]
Bi (0.000, 0.000, 0.206) [4 per cell]
Bi (0.000, 0.000, 0.500) [2 per cell]
Bi (0.000, 0.200, 0.007) [8 per cell]
Bi (0.000, 0.341, 0.916) [8 per cell]
Bi (0.000, 0.354, 0.666) [8 per cell]
Bi (0.000, 0.355, 0.476) [8 per cell]
Bi (0.000, 0.359, 0.197) [8 per cell]
Bi (0.145, 0.166, 0.291) [16 per cell]
Bi (0.149, 0.152, 0.418) [16 per cell]
Bi (0.158, 0.166, 0.135) [16 per cell]

Calculated values
Calculated volume ... 29.86 Å³/atom
Electronic total energy ... -5.199 eV/atom

---

Record 9
Density functional theory data (PBE) for crystalline Pm2AgRh at its relaxed geometry.

Cell: 7.247 7.247 7.247 Å, 90.00 90.00 90.00°
Space group Fm-3m (No. 225)
Inequivalent atoms, fractional coordinates:
Pm (0.250, 0.250, 0.250) [8 per cell]
Ag (0.000, 0.000, 0.000) [4 per cell]
Rh (0.000, 0.000, 0.500) [4 per cell]

Calculated values
Calculated volume ... 23.79 Å³/atom
Electronic total energy ... -5.397 eV/atom

---

Record 10
Density functional theory data (PBE) for crystalline ZnF2 at its relaxed geometry.

Cell: 4.762 5.783 5.249 Å, 90.00 90.00 90.00°
Space group Pbcn (No. 60)
Inequivalent atoms, fractional coordinates:
Zn (0.000, 0.161, 0.250) [4 per cell]
F (0.230, 0.114, 0.581) [8 per cell]

Calculated values
Calculated volume ... 12.04 Å³/atom
Electronic total energy ... -3.984 eV/atom

---

Record 11
Density functional theory data (PBE) for crystalline Y3Se2ClO8 at its relaxed geometry.

Cell: 5.580 14.769 11.174 Å, 90.00 90.00 90.00°
Space group Pnma (No. 62)
Inequivalent atoms, fractional coordinates:
Y (0.062, 0.250, 0.148) [4 per cell]
Y (0.075, 0.067, 0.356) [8 per cell]
Se (0.093, 0.609, 0.123) [8 per cell]
Cl (0.070, 0.250, 0.476) [4 per cell]
O (0.070, 0.136, 0.000) [8 per cell]
O (0.078, 0.023, 0.810) [8 per cell]
O (0.175, 0.045, 0.558) [8 per cell]
O (0.185, 0.652, 0.744) [8 per cell]

Calculated values
Calculated volume ... 16.45 Å³/atom
Electronic total energy ... -7.211 eV/atom